Here is crystalline Li4MnCo2O7 at its relaxed geometry from the Materials Project database. Energies are from PBE with a Hubbard U.

Summary:
For the energy above the most stable polymorph in this dataset, the calculation gives 60 meV per atom. The calculation puts the final energy at -162.85 eV per cell.

Unit cell a=9.877 b=9.877 c=9.783 alpha=114.47 beta=114.47 gamma=17.07
Sites, in units of the cell vectors:
1 Li 0.000 0.000 0.000
2 Li 0.130 0.130 0.578
3 Li 0.285 0.285 0.143
4 Li 0.434 0.434 0.726
5 Li 0.501 0.501 0.508
6 Li 0.568 0.568 0.296
7 Li 0.706 0.706 0.858
8 Li 0.867 0.867 0.452
9 Mn 0.213 0.213 0.361
10 Mn 0.932 0.932 0.232
11 Co 0.064 0.064 0.769
12 Co 0.356 0.356 0.938
13 Co 0.638 0.638 0.063
14 Co 0.786 0.786 0.654
15 O 0.026 0.026 0.384
16 O 0.118 0.118 0.194
17 O 0.176 0.176 0.977
18 O 0.255 0.255 0.752
19 O 0.312 0.312 0.538
20 O 0.395 0.395 0.315
21 O 0.457 0.457 0.124
22 O 0.541 0.541 0.910
23 O 0.605 0.605 0.689
24 O 0.684 0.684 0.460
25 O 0.744 0.744 0.268
26 O 0.829 0.829 0.047
27 O 0.887 0.887 0.834
28 O 0.967 0.967 0.629